(1)
## Gd12Co6Pb (PBE)

Data for a relaxed structure of Gd12Co6Pb.

Unit cell a=9.8345 b=9.8345 c=9.8345 alpha=90.00 beta=90.00 gamma=90.00
With the nearest neighbours (Å) after each atom.
Space group Im-3 (No. 204)
One atom of each set of equivalent atoms:
Gd (0.0000, 0.3063, 0.1930) x24  3 Co 2.70-2.91
Co (0.0000, 0.1131, 0.5000) x12  1 Co 2.23
Pb (0.0000, 0.0000, 0.0000) x2  12 Gd 3.56

Values from the calculation:
Crystal system: cubic

---

(2)
## ThCrB4 (PBE)

Data for a relaxed structure of ThCrB4.

Unit cell a=6.0405 b=11.6796 c=3.6325 alpha=90.00 beta=90.00 gamma=90.00
With the nearest neighbours (Å) after each atom.
Space group Pbam (No. 55)
One atom of each set of equivalent atoms:
Th (0.1233, 0.1512, 0.0000) x4  14 B 2.72-2.83
Cr (0.1229, 0.4180, 0.0000) x4  10 B 2.34-2.37, 1 Cr 2.42
B (0.0242, 0.6876, 0.5000) x4  3 B 1.75-1.95
B (0.1107, 0.5448, 0.5000) x4  3 B 1.70-1.75
B (0.1429, 0.9669, 0.5000) x4  3 B 1.74-1.89
B (0.2237, 0.8185, 0.5000) x4  3 B 1.80-1.95

Values from the calculation:
Crystal system: orthorhombic

---

(3)
## Hg3PClO4 (PBE)

Data for a relaxed structure of Hg3PClO4.

Unit cell a=8.5061 b=8.5061 c=8.5061 alpha=90.00 beta=90.00 gamma=90.00
With the nearest neighbours (Å) after each atom.
Space group P2_13 (No. 198)
One atom of each set of equivalent atoms:
Hg (0.0427, 0.3870, 0.3557) x12  2 O 2.29-2.39
P (0.0159, 0.5159, 0.9841) x4  4 O 1.53-1.58
Cl (0.2353, 0.7647, 0.2647) x4  3 Hg 2.78
O (0.0927, 0.9027, 0.6162) x12  1 P 1.58
O (0.1197, 0.6197, 0.8803) x4  1 P 1.53

Values from the calculation:
Crystal system: cubic

---

It is found that the total energy values, taken in the order of the records, are -11.579; -7.872; -4.214 eV per atom.
It is found that the energy of formation from the pure elements values, taken in the order of the records, are -0.249; -0.575; -1.412 eV/atom.